[1]
The following is a DFT calculation (PBE-GGA) of a geometry-optimized K3V structure.

Summary:
As for the symmetry: I4/mmm, No. 139.

a = 7.0278 Å, b = 7.0278 Å, c = 7.0278 Å
α = 130.71°, β = 130.71°, γ = 72.28°
With the nearest neighbours (Å) after each atom.
Atoms (fractional coordinates):
K 0.0000 0.0000 0.0000  8 K 4.08, 4 V 4.14
K 0.2500 0.7500 0.5000  4 V 4.08, 8 K 4.08-4.14
K 0.7500 0.2500 0.5000  4 V 4.08, 8 K 4.08-4.14
V 0.5000 0.5000 0.0000  12 K 4.08-4.14

=====

[2]
The following is a DFT calculation (PBE-GGA) of a geometry-optimized K3W structure.

Summary:
As for the symmetry: I4/mmm, No. 139. The energy above the most stable polymorph in this dataset comes out at 3 meV per atom.

a = 6.7937 Å, b = 6.7937 Å, c = 6.7937 Å
α = 128.48°, β = 128.48°, γ = 75.85°
With the nearest neighbours (Å) after each atom.
Atoms (fractional coordinates):
K 0.0000 0.0000 0.0000  8 K 3.99, 4 W 4.18
K 0.2500 0.7500 0.5000  4 W 3.99, 8 K 3.99-4.18
K 0.7500 0.2500 0.5000  4 W 3.99, 8 K 3.99-4.18
W 0.5000 0.5000 0.0000  12 K 3.99-4.18

=====

[3]
The following is a DFT calculation (PBE-GGA) of a geometry-optimized K3W structure.

Summary:
As for the symmetry: Fm-3m, No. 225. The energy above the most stable polymorph in this dataset comes out at 0 meV per atom.

a = 6.3799 Å, b = 6.3799 Å, c = 6.3799 Å
α = 60.00°, β = 60.00°, γ = 60.00°
With the nearest neighbours (Å) after each atom.
Atoms (fractional coordinates):
K 0.0000 0.0000 0.0000  8 K 3.91
K 0.2500 0.2500 0.2500  4 W 3.91, 4 K 3.91
K 0.7500 0.7500 0.7500  4 W 3.91, 4 K 3.91
W 0.5000 0.5000 0.5000  8 K 3.91

=====

[4]
The following is a DFT calculation (PBE-GGA) of a geometry-optimized K3Zn structure.

Summary:
As for the symmetry: Pm-3m, No. 221.

a = 5.8487 Å, b = 5.8487 Å, c = 5.8487 Å
α = 90.00°, β = 90.00°, γ = 90.00°
With the nearest neighbours (Å) after each atom.
Atoms (fractional coordinates):
K 0.0000 0.0000 0.5000  4 Zn 4.14, 8 K 4.14
K 0.0000 0.5000 0.0000  8 K 4.14, 4 Zn 4.14
K 0.5000 0.0000 0.0000  8 K 4.14, 4 Zn 4.14
Zn 0.5000 0.5000 0.5000  12 K 4.14

=====

[5]
The following is a DFT calculation (PBE-GGA) of a geometry-optimized K3Zn structure.

Summary:
As for the symmetry: Fm-3m, No. 225.

a = 6.6378 Å, b = 6.6378 Å, c = 6.6378 Å
α = 60.00°, β = 60.00°, γ = 60.00°
With the nearest neighbours (Å) after each atom.
Atoms (fractional coordinates):
K 0.0000 0.0000 0.0000  8 K 4.06
K 0.2500 0.2500 0.2500  4 Zn 4.06, 4 K 4.06
K 0.7500 0.7500 0.7500  4 K 4.06, 4 Zn 4.06
Zn 0.5000 0.5000 0.5000  8 K 4.06

=====

[6]
The following is a DFT calculation (PBE-GGA) of a geometry-optimized KZn13 structure.

Summary:
As for the symmetry: Fm-3c, No. 226.

a = 8.7539 Å, b = 8.7539 Å, c = 8.7539 Å
α = 60.00°, β = 60.00°, γ = 60.00°
With the nearest neighbours (Å) after each atom.
Atoms (fractional coordinates):
K 0.2500 0.2500 0.2500  24 Zn 3.60
K 0.7500 0.7500 0.7500  24 Zn 3.60
Zn 0.0000 0.0000 0.0000  12 Zn 2.67
Zn 0.0605 0.2994 0.7006  9 Zn 2.59-2.78
Zn 0.0605 0.7006 0.9395  9 Zn 2.59-2.78
Zn 0.0605 0.9395 0.2994  9 Zn 2.59-2.78
Zn 0.2006 0.4395 0.7994  9 Zn 2.59-2.78
Zn 0.2006 0.5605 0.4395  9 Zn 2.59-2.78
Zn 0.2006 0.7994 0.5605  9 Zn 2.59-2.78
Zn 0.2994 0.0605 0.9395  9 Zn 2.59-2.78
Zn 0.2994 0.7006 0.0605  9 Zn 2.59-2.78
Zn 0.2994 0.9395 0.7006  9 Zn 2.59-2.78
Zn 0.4395 0.2006 0.5605  9 Zn 2.59-2.78
Zn 0.4395 0.5605 0.7994  9 Zn 2.59-2.78
Zn 0.4395 0.7994 0.2006  9 Zn 2.59-2.78
Zn 0.5000 0.5000 0.5000  12 Zn 2.67
Zn 0.5605 0.2006 0.7994  9 Zn 2.59-2.78
Zn 0.5605 0.4395 0.2006  9 Zn 2.59-2.78
Zn 0.5605 0.7994 0.4395  9 Zn 2.59-2.78
Zn 0.7006 0.0605 0.2994  9 Zn 2.59-2.78
Zn 0.7006 0.2994 0.9395  9 Zn 2.59-2.78
Zn 0.7006 0.9395 0.0605  9 Zn 2.59-2.78
Zn 0.7994 0.2006 0.4395  9 Zn 2.59-2.78
Zn 0.7994 0.4395 0.5605  9 Zn 2.59-2.78
Zn 0.7994 0.5605 0.2006  9 Zn 2.59-2.78
Zn 0.9395 0.0605 0.7006  9 Zn 2.59-2.78
Zn 0.9395 0.2994 0.0605  9 Zn 2.59-2.78
Zn 0.9395 0.7006 0.2994  9 Zn 2.59-2.78

=====

[7]
The following is a DFT calculation (PBE-GGA) of a geometry-optimized K3Zn structure.

Summary:
As for the symmetry: I4/mmm, No. 139.

a = 7.2131 Å, b = 7.2131 Å, c = 7.2131 Å
α = 130.62°, β = 130.62°, γ = 72.42°
With the nearest neighbours (Å) after each atom.
Atoms (fractional coordinates):
K 0.0000 0.0000 0.0000  8 K 4.19, 4 Zn 4.26
K 0.2500 0.7500 0.5000  8 K 4.19-4.26, 4 Zn 4.19
K 0.7500 0.2500 0.5000  8 K 4.19-4.26, 4 Zn 4.19
Zn 0.5000 0.5000 0.0000  12 K 4.19-4.26

=====

[8]
The following is a DFT calculation (PBE-GGA) of a geometry-optimized K3Zr structure.

Summary:
As for the symmetry: I4/mmm, No. 139. The energy above the most stable polymorph in this dataset comes out at 0 meV per atom.

a = 7.4413 Å, b = 7.4413 Å, c = 7.4413 Å
α = 134.32°, β = 134.32°, γ = 66.59°
With the nearest neighbours (Å) after each atom.
Atoms (fractional coordinates):
K 0.0000 0.0000 0.0000  4 Zr 4.08, 8 K 4.24
K 0.2500 0.7500 0.5000  8 K 4.08-4.24, 4 Zr 4.24
K 0.7500 0.2500 0.5000  8 K 4.08-4.24, 4 Zr 4.24
Zr 0.5000 0.5000 0.0000  12 K 4.08-4.24

=====

[9]
The following is a DFT calculation (PBE-GGA) of a geometry-optimized K3Zr structure.

Summary:
As for the symmetry: Fm-3m, No. 225. The energy above the most stable polymorph in this dataset comes out at 0 meV per atom.

a = 6.6010 Å, b = 6.6010 Å, c = 6.6010 Å
α = 60.00°, β = 60.00°, γ = 60.00°
With the nearest neighbours (Å) after each atom.
Atoms (fractional coordinates):
K 0.0000 0.0000 0.0000  8 K 4.04
K 0.2500 0.2500 0.2500  4 Zr 4.04, 4 K 4.04
K 0.7500 0.7500 0.7500  4 Zr 4.04, 4 K 4.04
Zr 0.5000 0.5000 0.5000  8 K 4.04

=====

[10]
The following is a DFT calculation (PBE-GGA) of a geometry-optimized K3Zr structure.

Summary:
As for the symmetry: Pm-3m, No. 221. The energy above the most stable polymorph in this dataset comes out at 4 meV per atom.

a = 5.9453 Å, b = 5.9453 Å, c = 5.9453 Å
α = 90.00°, β = 90.00°, γ = 90.00°
With the nearest neighbours (Å) after each atom.
Atoms (fractional coordinates):
K 0.0000 0.0000 0.5000  4 Zr 4.20, 8 K 4.20
K 0.0000 0.5000 0.0000  4 Zr 4.20, 8 K 4.20
K 0.5000 0.0000 0.0000  4 Zr 4.20, 8 K 4.20
Zr 0.5000 0.5000 0.5000  12 K 4.20

=====

| no. | energy of formation (eV per atom) | volume (Å³/cell) |
| --- | --- | --- |
| 1 | 0.882 | 195 |
| 2 | 1.504 | 187 |
| 3 | 1.502 | 184 |
| 4 | 0.150 | 200 |
| 5 | 0.153 | 207 |
| 6 | -0.067 | 474 |
| 7 | 0.162 | 211 |
| 8 | 0.978 | 208 |
| 9 | 0.978 | 203 |
| 10 | 0.982 | 210 |